No. 1
This record from the Materials Project database describes Co5RuO8 after structural relaxation. The functional is PBE with a Hubbard U.

## Properties
Its total energy is -0.2315 Ha/atom. Its energy of formation from the pure elements is -1.249 eV/atom. As for the excess energy over the best structure of this formula in the dataset: 0 meV per atom. Its crystal system is triclinic.

Structure (POSCAR):
```
Co5RuO8
1.0
-2.404 4.261 3.570
-5.902 0.919 -0.040
-16.533 -8.077 23.538
Co O Ru
25 40 5
Direct
0.907 0.863 0.373
0.503 0.500 0.500
0.504 0.499 0.400
0.497 0.500 0.700
0.500 0.500 0.100
0.102 0.134 0.426
0.500 0.505 0.199
0.495 0.001 0.901
0.104 0.128 0.227
0.898 0.866 0.774
0.093 0.137 0.827
0.097 0.135 0.627
0.903 0.865 0.573
0.500 0.500 0.600
0.126 0.107 0.026
0.497 0.001 0.700
0.495 0.504 0.900
0.505 0.999 0.299
0.000 0.500 0.100
0.896 0.872 0.973
0.505 0.496 0.300
0.500 0.495 0.001
0.874 0.893 0.174
0.503 0.999 0.500
0.496 0.501 0.800
0.703 0.267 0.653
0.710 0.260 0.254
0.767 0.267 0.346
0.232 0.273 0.853
0.737 0.290 0.146
0.698 0.268 0.854
0.735 0.762 0.054
0.761 0.733 0.947
0.708 0.264 0.453
0.757 0.276 0.947
0.735 0.763 0.147
0.239 0.730 0.453
0.297 0.733 0.547
0.763 0.733 0.254
0.235 0.269 0.653
0.765 0.731 0.547
0.768 0.727 0.347
0.263 0.710 0.054
0.243 0.724 0.253
0.761 0.735 0.654
0.265 0.237 0.053
0.766 0.270 0.546
0.239 0.267 0.253
0.302 0.732 0.346
0.265 0.238 0.146
0.290 0.740 0.946
0.233 0.733 0.854
0.758 0.737 0.854
0.242 0.263 0.346
0.234 0.730 0.654
0.759 0.731 0.748
0.272 0.760 0.147
0.728 0.240 0.053
0.241 0.269 0.452
0.767 0.733 0.454
0.761 0.270 0.747
0.237 0.267 0.946
0.233 0.267 0.746
0.292 0.736 0.747
0.239 0.265 0.546
0.997 0.504 0.900
0.003 0.499 0.500
0.003 0.496 0.300
0.500 0.000 0.100
0.997 0.501 0.700
```

***

No. 2
This record from the Materials Project database describes Co5RuO8 after structural relaxation. The functional is PBE with a Hubbard U.

## Properties
Its total energy is -0.2272 Ha/atom. Its energy of formation from the pure elements is -1.132 eV/atom. As for the excess energy over the best structure of this formula in the dataset: 117 meV per atom. Its crystal system is triclinic.

Structure (POSCAR):
```
Co5RuO8
1.0
-5.973 0.000 0.000
2.966 5.258 0.000
-0.018 -3.200 -24.455
O Co Ru
40 25 5
Direct
0.536 0.455 0.153
0.729 0.742 0.246
0.663 0.341 0.447
0.129 0.809 0.447
0.271 0.258 0.754
0.728 0.206 0.246
0.264 0.738 0.247
0.861 0.171 0.047
0.673 0.366 0.953
0.327 0.634 0.047
0.139 0.829 0.953
0.741 0.733 0.754
0.337 0.659 0.553
0.334 0.171 0.046
0.871 0.191 0.553
0.125 0.341 0.446
0.530 0.414 0.647
0.142 0.358 0.954
0.459 0.072 0.846
0.472 0.055 0.353
0.666 0.829 0.954
0.464 0.545 0.847
0.470 0.586 0.353
0.272 0.794 0.754
0.259 0.267 0.246
0.939 0.526 0.354
0.528 0.945 0.647
0.069 0.983 0.154
0.061 0.474 0.646
0.858 0.642 0.046
0.928 0.550 0.847
0.072 0.450 0.153
0.934 0.055 0.352
0.066 0.945 0.648
0.342 0.131 0.554
0.931 0.017 0.846
0.875 0.659 0.554
0.541 0.928 0.154
0.736 0.262 0.753
0.658 0.869 0.446
0.398 0.096 0.199
0.715 0.754 0.674
0.000 0.500 0.500
0.113 0.358 0.873
0.701 0.302 0.600
0.487 0.021 0.926
0.201 0.302 0.600
0.198 0.302 0.099
0.312 0.151 0.473
0.899 0.095 0.200
0.000 0.000 0.000
0.500 0.500 0.000
0.802 0.698 0.901
0.799 0.698 0.400
0.089 0.453 0.727
0.299 0.698 0.400
0.101 0.905 0.800
0.602 0.904 0.801
0.402 0.104 0.700
0.911 0.547 0.273
0.688 0.849 0.527
0.598 0.896 0.300
0.887 0.642 0.127
0.285 0.246 0.326
0.513 0.979 0.074
0.202 0.803 0.600
0.798 0.197 0.400
0.401 0.597 0.200
0.000 0.500 0.000
0.599 0.403 0.800
```

***

No. 3
This record from the Materials Project database describes Sm2CoRuO6 after structural relaxation. The functional is PBE with a Hubbard U.

## Properties
Its total energy is -0.2753 Ha/atom. Its energy of formation from the pure elements is -2.516 eV/atom. Its crystal system is monoclinic.

Structure (POSCAR):
```
Sm2CoRuO6
1.0
5.810 0.000 0.000
0.000 5.395 0.000
0.000 5.367 7.744
O Sm Ru Co
12 4 2 2
Direct
0.796 0.757 0.557
0.692 0.358 0.449
0.538 0.141 0.251
0.704 0.757 0.057
0.204 0.243 0.443
0.038 0.859 0.249
0.308 0.642 0.551
0.462 0.859 0.749
0.808 0.358 0.949
0.192 0.642 0.051
0.962 0.141 0.751
0.296 0.243 0.943
0.429 0.728 0.251
0.571 0.272 0.749
0.071 0.728 0.751
0.929 0.272 0.249
0.500 0.000 0.500
0.000 0.000 0.000
0.500 0.500 0.000
0.000 0.500 0.500
```

***

No. 4
This record from the Materials Project database describes Sr2CoRuO6 after structural relaxation. The functional is PBE with a Hubbard U.

## Properties
Its total energy is -0.2387 Ha/atom. Its energy of formation from the pure elements is -2.126 eV/atom. Its crystal system is trigonal.

Structure (POSCAR):
```
Sr2CoRuO6
1.0
4.832 -2.821 0.000
4.832 2.821 0.000
3.186 0.000 4.600
O Sr Ru Co
6 2 1 1
Direct
0.796 0.718 0.242
0.242 0.796 0.718
0.718 0.242 0.796
0.282 0.758 0.204
0.758 0.204 0.282
0.204 0.282 0.758
0.750 0.750 0.750
0.250 0.250 0.250
0.000 0.000 0.000
0.500 0.500 0.500
```

***

No. 5
This record from the Materials Project database describes CoSO10 after structural relaxation. The functional is PBE with a Hubbard U.

## Properties
Its total energy is -0.1663 Ha/atom. Its energy of formation from the pure elements is -0.175 eV/atom. Its crystal system is monoclinic.

Structure (POSCAR):
```
CoSO10
1.0
-3.477 -4.598 3.047
3.381 -5.550 0.525
8.724 2.711 22.701
Co S O
4 4 40
Direct
0.947 0.053 0.750
0.053 0.947 0.250
0.000 0.000 0.500
0.000 0.000 0.000
0.581 0.680 0.622
0.419 0.320 0.378
0.680 0.581 0.122
0.320 0.419 0.878
0.794 0.990 0.227
0.540 0.436 0.335
0.082 0.184 0.693
0.865 0.154 0.941
0.822 0.876 0.482
0.876 0.822 0.982
0.076 0.518 0.883
0.308 0.905 0.275
0.178 0.124 0.518
0.124 0.178 0.018
0.692 0.095 0.725
0.189 0.362 0.366
0.518 0.076 0.383
0.413 0.429 0.928
0.436 0.540 0.835
0.010 0.206 0.273
0.571 0.587 0.572
0.720 0.111 0.030
0.111 0.720 0.530
0.362 0.189 0.866
0.587 0.571 0.072
0.924 0.482 0.117
0.816 0.918 0.807
0.280 0.889 0.970
0.811 0.638 0.634
0.564 0.460 0.165
0.905 0.308 0.775
0.846 0.135 0.559
0.918 0.816 0.307
0.154 0.865 0.441
0.429 0.413 0.428
0.638 0.811 0.134
0.095 0.692 0.225
0.990 0.794 0.727
0.482 0.924 0.617
0.206 0.010 0.773
0.135 0.846 0.059
0.184 0.082 0.193
0.889 0.280 0.470
0.460 0.564 0.665
```

***

No. 6
This record from the Materials Project database describes CoS2O8 after structural relaxation. The functional is PBE with a Hubbard U.

## Properties
Its total energy is -0.2142 Ha/atom. Its energy of formation from the pure elements is -1.481 eV/atom. As for the excess energy over the best structure of this formula in the dataset: 0 meV per atom. Its crystal system is trigonal.

Structure (POSCAR):
```
CoS2O8
1.0
3.586 3.323 7.444
-4.583 1.466 7.494
1.110 -4.680 7.495
S Co O
6 3 24
Direct
0.747 0.461 0.043
0.461 0.043 0.747
0.957 0.252 0.537
0.252 0.537 0.957
0.043 0.747 0.461
0.537 0.957 0.252
0.148 0.148 0.148
0.852 0.852 0.852
0.355 0.355 0.355
0.706 0.490 0.888
0.378 0.239 0.616
0.045 0.673 0.986
0.277 0.347 0.978
0.952 0.326 0.023
0.511 0.110 0.298
0.023 0.952 0.326
0.719 0.652 0.026
0.490 0.888 0.706
0.762 0.374 0.626
0.652 0.026 0.719
0.026 0.719 0.652
0.616 0.378 0.239
0.626 0.762 0.374
0.239 0.616 0.378
0.347 0.978 0.277
0.673 0.986 0.045
0.888 0.706 0.490
0.298 0.511 0.110
0.986 0.045 0.673
0.978 0.277 0.347
0.374 0.626 0.762
0.110 0.298 0.511
0.326 0.023 0.952
```

***

No. 7
This record from the Materials Project database describes Co3S2O12 after structural relaxation. The functional is PBE with a Hubbard U.

## Properties
Its total energy is -0.2096 Ha/atom. Its energy of formation from the pure elements is -1.244 eV/atom. Its crystal system is orthorhombic.

Structure (POSCAR):
```
Co3S2O12
1.0
-6.079 1.375 3.299
1.642 -7.280 6.059
6.062 7.918 7.871
O Co S
48 12 8
Direct
0.248 0.105 0.606
0.322 0.746 0.406
0.818 0.581 0.347
0.080 0.879 0.001
0.920 0.379 0.499
0.752 0.895 0.106
0.839 0.420 0.750
0.678 0.246 0.406
0.920 0.121 0.999
0.182 0.081 0.153
0.818 0.919 0.847
0.080 0.621 0.999
0.964 0.145 0.750
0.322 0.754 0.906
0.436 0.312 0.750
0.080 0.879 0.499
0.818 0.919 0.653
0.322 0.746 0.094
0.678 0.246 0.094
0.248 0.395 0.106
0.818 0.581 0.153
0.322 0.754 0.594
0.408 0.564 0.750
0.080 0.621 0.501
0.920 0.379 0.001
0.161 0.920 0.750
0.592 0.436 0.250
0.964 0.355 0.250
0.408 0.936 0.250
0.920 0.121 0.501
0.564 0.812 0.750
0.248 0.395 0.394
0.839 0.080 0.250
0.678 0.254 0.594
0.436 0.188 0.250
0.752 0.605 0.606
0.182 0.081 0.347
0.248 0.105 0.894
0.592 0.064 0.750
0.752 0.605 0.894
0.678 0.254 0.906
0.036 0.855 0.250
0.564 0.688 0.250
0.182 0.419 0.847
0.182 0.419 0.653
0.161 0.580 0.250
0.036 0.645 0.750
0.752 0.895 0.394
0.722 0.249 0.750
0.950 0.973 0.366
0.278 0.749 0.750
0.050 0.473 0.134
0.950 0.973 0.134
0.722 0.251 0.250
0.050 0.027 0.866
0.950 0.527 0.634
0.950 0.527 0.866
0.278 0.751 0.250
0.050 0.473 0.366
0.050 0.027 0.634
0.304 0.072 0.250
0.696 0.572 0.250
0.799 0.250 0.500
0.799 0.250 0.000
0.304 0.428 0.750
0.201 0.750 0.500
0.696 0.928 0.750
0.201 0.750 0.000
```

***

No. 8
This record from the Materials Project database describes CoS2O8 after structural relaxation. The functional is PBE with a Hubbard U.

## Properties
Its total energy is -0.2141 Ha/atom. Its energy of formation from the pure elements is -1.477 eV/atom. As for the excess energy over the best structure of this formula in the dataset: 4 meV per atom. Its crystal system is trigonal.

Structure (POSCAR):
```
CoS2O8
1.0
-1.676 -1.253 -8.720
-4.334 -7.151 -3.238
-8.215 0.381 -3.575
O S Co
24 6 3
Direct
0.108 0.316 0.497
0.702 0.488 0.888
0.321 0.021 0.948
0.349 0.977 0.275
0.057 0.665 0.992
0.665 0.992 0.057
0.391 0.610 0.767
0.720 0.642 0.034
0.992 0.057 0.665
0.275 0.349 0.977
0.888 0.702 0.488
0.021 0.948 0.321
0.767 0.391 0.610
0.642 0.034 0.720
0.610 0.767 0.391
0.948 0.321 0.021
0.977 0.275 0.349
0.034 0.720 0.642
0.616 0.377 0.234
0.497 0.108 0.316
0.377 0.234 0.616
0.316 0.497 0.108
0.234 0.616 0.377
0.488 0.888 0.702
0.749 0.461 0.039
0.461 0.039 0.749
0.257 0.534 0.960
0.039 0.749 0.461
0.960 0.257 0.534
0.534 0.960 0.257
0.150 0.150 0.150
0.357 0.357 0.357
0.644 0.644 0.644
```